A) Density functional theory data (PBE-GGA) for an optimized crystal structure of Tl3V24S32.

Computed properties:
As for the magnetic moment: 0.51 μB per atom.

a b c (Å): 9.124 9.269 13.872
angles (deg): 108.95 103.51 88.38
Fractional coordinates of all 59 atoms:
V 0.020 0.604 0.991
V 0.040 0.016 0.489
V 0.794 0.914 0.558
V 0.131 0.633 0.840
V 0.455 0.887 0.523
V 0.476 0.193 0.460
V 0.266 0.963 0.932
V 0.581 0.628 0.032
V 0.540 0.985 0.988
V 0.215 0.948 0.663
V 0.435 0.306 0.986
V 0.116 0.132 0.364
V 0.023 0.367 0.010
V 0.821 0.439 0.558
V 0.632 0.149 0.862
V 0.793 0.048 0.309
V 0.363 0.266 0.269
V 0.642 0.656 0.715
V 0.914 0.366 0.161
V 0.427 0.797 0.221
V 0.211 0.627 0.444
V 0.957 0.372 0.780
V 0.082 0.632 0.215
V 0.841 0.942 0.751
S 0.373 0.078 0.837
S 0.625 0.044 0.668
S 0.474 0.540 0.131
S 0.376 0.148 0.087
S 0.666 0.358 0.634
S 0.389 0.735 0.617
S 0.295 0.087 0.548
S 0.697 0.890 0.860
S 0.884 0.201 0.861
S 0.332 0.719 0.352
S 0.615 0.893 0.146
S 0.617 0.276 0.354
S 0.032 0.788 0.524
S 0.846 0.558 0.081
S 0.979 0.531 0.326
S 0.385 0.732 0.919
S 0.276 0.370 0.427
S 0.559 0.405 0.887
S 0.186 0.764 0.118
S 0.990 0.104 0.663
S 0.058 0.465 0.671
S 0.622 0.961 0.418
S 0.997 0.883 0.310
S 0.171 0.386 0.171
S 0.862 0.606 0.838
S 0.186 0.426 0.913
S 0.681 0.224 0.050
S 0.935 0.230 0.461
S 0.768 0.699 0.604
S 0.934 0.155 0.222
S 0.322 0.041 0.292
S 0.088 0.843 0.775
Tl 0.671 0.594 0.353
Tl 0.375 0.436 0.694
Tl 0.004 0.002 0.027

---

B) Density functional theory data (PBE-GGA) for an optimized crystal structure of Tl3V24S32.

Computed properties:
As for the magnetic moment: 0.55 μB per atom.

a b c (Å): 9.203 9.236 13.710
angles (deg): 105.92 103.31 90.83
Fractional coordinates of all 59 atoms:
S 0.884 0.194 0.858
S 0.627 0.027 0.687
S 0.310 0.079 0.552
S 0.694 0.335 0.612
S 0.622 0.960 0.422
S 0.179 0.763 0.113
S 0.694 0.858 0.908
S 0.287 0.365 0.422
S 0.918 0.143 0.208
S 0.844 0.569 0.086
S 0.001 0.110 0.657
S 0.612 0.260 0.334
S 0.085 0.842 0.780
S 0.673 0.234 0.055
S 0.379 0.734 0.629
S 0.865 0.594 0.828
S 0.603 0.899 0.154
S 0.359 0.154 0.082
S 0.377 0.083 0.846
S 0.997 0.887 0.312
S 0.318 0.037 0.293
S 0.329 0.720 0.358
S 0.947 0.230 0.454
S 0.082 0.472 0.668
S 0.154 0.389 0.170
S 0.176 0.421 0.918
S 0.042 0.789 0.527
S 0.484 0.558 0.125
S 0.974 0.528 0.337
S 0.373 0.733 0.921
S 0.559 0.414 0.880
S 0.762 0.703 0.605
V 0.853 0.450 0.549
V 0.527 0.991 0.999
V 0.633 0.164 0.871
V 0.214 0.947 0.671
V 0.054 0.020 0.488
V 0.791 0.045 0.312
V 0.108 0.135 0.347
V 0.596 0.659 0.015
V 0.131 0.627 0.837
V 0.867 0.955 0.729
V 0.464 0.882 0.534
V 0.078 0.636 0.220
V 0.258 0.956 0.938
V 0.487 0.189 0.455
V 0.354 0.261 0.261
V 0.989 0.368 0.012
V 0.642 0.684 0.737
V 0.209 0.620 0.453
V 0.015 0.600 0.986
V 0.960 0.369 0.770
V 0.409 0.795 0.223
V 0.900 0.375 0.172
V 0.816 0.906 0.546
V 0.435 0.329 0.989
Tl 0.652 0.585 0.348
Tl 0.397 0.411 0.673
Tl 0.992 0.999 0.021

---

In eV/atom, relative to the most stable structure: A) 0.000; B) 0.022.

---

A) Density functional theory data (PBE-GGA) for an optimized crystal structure of U3S5.

Computed properties:
As for the magnetic moment: 0.44 μB per atom.

a b c (Å): 7.983 7.983 7.983
angles (deg): 97.27 97.27 138.32
Fractional coordinates of all 16 atoms:
S 0.250 0.750 0.500
S 0.081 0.784 0.865
S 0.216 0.081 0.297
S 0.419 0.284 0.703
S 0.284 0.581 0.865
S 0.581 0.716 0.297
S 0.716 0.419 0.135
S 0.750 0.250 0.500
S 0.784 0.919 0.703
S 0.919 0.216 0.135
U 0.250 0.250 0.000
U 0.158 0.342 0.500
U 0.842 0.658 0.500
U 0.342 0.842 0.184
U 0.658 0.158 0.816
U 0.750 0.750 0.000

---

B) Density functional theory data (PBE-GGA) for an optimized crystal structure of U3S5.

a b c (Å): 7.308 7.829 11.563
angles (deg): 90.00 90.00 90.00
Fractional coordinates of all 32 atoms:
S 0.331 0.548 0.098
S 0.331 0.952 0.098
S 0.670 0.250 0.187
S 0.669 0.048 0.902
S 0.465 0.250 0.500
S 0.330 0.750 0.813
S 0.170 0.750 0.313
S 0.831 0.452 0.402
S 0.035 0.250 0.000
S 0.203 0.250 0.282
S 0.965 0.750 0.000
S 0.169 0.952 0.598
S 0.830 0.250 0.687
S 0.669 0.452 0.902
S 0.797 0.750 0.718
S 0.703 0.750 0.218
S 0.535 0.750 0.500
S 0.169 0.548 0.598
S 0.297 0.250 0.782
S 0.831 0.048 0.402
U 0.478 0.502 0.320
U 0.921 0.750 0.493
U 0.421 0.250 0.007
U 0.579 0.750 0.993
U 0.022 0.998 0.820
U 0.522 0.498 0.680
U 0.478 0.998 0.320
U 0.022 0.502 0.820
U 0.079 0.250 0.507
U 0.522 0.002 0.680
U 0.978 0.002 0.180
U 0.978 0.498 0.180

---

In eV/atom, relative to the most stable structure: A) 0.159; B) 0.000.

---

A) Density functional theory data (PBE-GGA) for an optimized crystal structure of Zr3S4.

Computed properties:
As for the magnetic moment: 0.10 μB per atom.

a b c (Å): 30.651 30.651 6.370
angles (deg): 89.40 89.40 6.67
Fractional coordinates of all 35 atoms:
Zr 0.751 0.751 0.718
Zr 0.599 0.599 0.703
Zr 0.249 0.249 0.282
Zr 0.300 0.300 0.592
Zr 0.401 0.401 0.297
Zr 0.850 0.850 0.461
Zr 0.050 0.050 0.847
Zr 0.500 0.500 0.000
Zr 0.350 0.350 0.935
Zr 0.650 0.650 0.065
Zr 0.950 0.950 0.153
Zr 0.550 0.550 0.353
Zr 0.700 0.700 0.408
Zr 0.150 0.150 0.539
Zr 0.450 0.450 0.647
S 0.124 0.124 0.889
S 0.876 0.876 0.111
S 0.524 0.524 0.673
S 0.425 0.425 0.969
S 0.675 0.675 0.731
S 0.923 0.923 0.495
S 0.325 0.325 0.269
S 0.976 0.976 0.810
S 0.274 0.274 0.915
S 0.575 0.575 0.031
S 0.177 0.177 0.206
S 0.077 0.077 0.505
S 0.624 0.624 0.377
S 0.222 0.222 0.609
S 0.024 0.024 0.190
S 0.376 0.376 0.623
S 0.823 0.823 0.794
S 0.726 0.726 0.085
S 0.778 0.778 0.391
S 0.476 0.476 0.327

---

B) Density functional theory data (PBE-GGA) for an optimized crystal structure of Zr3S4.

a b c (Å): 6.298 6.298 3.692
angles (deg): 90.00 90.00 108.67
Fractional coordinates of all 7 atoms:
Zr 0.500 0.000 0.500
Zr 0.000 0.500 0.500
Zr 0.000 0.000 0.000
S 0.739 0.261 0.000
S 0.261 0.739 0.000
S 0.256 0.256 0.500
S 0.744 0.744 0.500

---

C) Density functional theory data (PBE-GGA) for an optimized crystal structure of Zr3S4.

Computed properties:
As for the magnetic moment: 0.00 μB per atom.

a b c (Å): 7.623 7.623 7.623
angles (deg): 60.00 60.00 60.00
Fractional coordinates of all 14 atoms:
S 0.381 0.381 0.858
S 0.869 0.869 0.392
S 0.869 0.869 0.869
S 0.381 0.381 0.381
S 0.869 0.392 0.869
S 0.392 0.869 0.869
S 0.381 0.858 0.381
S 0.858 0.381 0.381
Zr 0.625 0.625 0.125
Zr 0.125 0.625 0.625
Zr 0.625 0.125 0.625
Zr 0.250 0.250 0.250
Zr 0.000 0.000 0.000
Zr 0.625 0.625 0.625

---

In eV/atom, relative to the most stable structure: A) 0.674; B) 0.000; C) 0.278.